Here is a relaxed structure of Tb5Bi3 from the Materials Project database. Energies are from meta-GGA r2SCAN.

abc: 9.183 9.183 6.400
angles: 90.00 90.00 120.00
Fractional positions:
Tb 0.000 0.246 0.250
Tb 0.000 0.754 0.750
Tb 0.246 0.000 0.250
Tb 0.246 0.246 0.750
Tb 0.333 0.667 0.000
Tb 0.333 0.667 0.500
Tb 0.667 0.333 0.000
Tb 0.667 0.333 0.500
Tb 0.754 0.000 0.750
Tb 0.754 0.754 0.250
Bi 0.000 0.388 0.750
Bi 0.000 0.612 0.250
Bi 0.388 0.000 0.750
Bi 0.388 0.388 0.250
Bi 0.612 0.000 0.250
Bi 0.612 0.612 0.750

Output
The electronic total energy is -1.5547 Ha/atom. As for the energy of formation: -0.85 eV per atom. As for the magnetization: 1.29 μB per formula unit.


Here is a relaxed structure of EuMg2 from the Materials Project database. Energies are from meta-GGA r2SCAN.

abc: 6.313 6.313 10.209
angles: 90.00 90.00 120.00
Fractional positions:
Eu 0.333 0.667 0.061
Eu 0.333 0.667 0.439
Eu 0.667 0.333 0.561
Eu 0.667 0.333 0.939
Mg 0.000 0.000 0.000
Mg 0.000 0.000 0.500
Mg 0.167 0.335 0.750
Mg 0.167 0.833 0.750
Mg 0.335 0.167 0.250
Mg 0.665 0.833 0.750
Mg 0.833 0.167 0.250
Mg 0.833 0.665 0.250

Output
The electronic total energy is -0.5784 Ha/atom. As for the energy of formation: -0.12 eV per atom. As for the magnetization: 7.53 μB per formula unit.


Here is a relaxed structure of Er2Si3 from the Materials Project database. Energies are from meta-GGA r2SCAN.

abc: 3.867 3.923 6.763
angles: 90.00 90.00 90.00
Fractional positions:
Er 0.000 0.000 0.000
Er 0.500 0.000 0.492
Si 0.000 0.500 0.355
Si 0.500 0.500 0.153
Si 0.500 0.500 0.811

Output
The electronic total energy is -0.7159 Ha/atom. As for the energy of formation: -0.65 eV per atom. As for the magnetization: 0.00 μB per formula unit.


Here is a relaxed structure of CuAsF7 from the Materials Project database. Energies are from meta-GGA r2SCAN.

abc: 7.191 7.191 7.191
angles: 122.44 83.24 125.54
Fractional positions:
Cu 0.500 0.000 0.000
Cu 0.500 0.500 0.500
As 0.000 0.000 0.000
As 0.500 0.000 0.500
F 0.142 0.207 0.296
F 0.142 0.846 0.935
F 0.220 0.743 0.477
F 0.234 0.257 0.977
F 0.404 0.654 0.750
F 0.412 0.207 0.565
F 0.412 0.846 0.204
F 0.588 0.154 0.796
F 0.588 0.793 0.435
F 0.596 0.346 0.250
F 0.766 0.743 0.023
F 0.780 0.257 0.523
F 0.858 0.154 0.065
F 0.858 0.793 0.704

Output
The electronic total energy is -0.2706 Ha/atom. As for the energy of formation: -2.09 eV per atom. As for the magnetization: 0.00 μB per formula unit.